Arrangement i

MgFe12O12F12 | GGA+U | optimized geometry

a = 3.1100 Å, b = 9.6984 Å, c = 14.6107 Å
α = 88.03°, β = 88.21°, γ = 89.59°
Positions (direct):
Mg  0.0000  0.0000  0.0000
Fe  0.0564  0.4396  0.8158
Fe  0.0651  0.9246  0.8023
Fe  0.1095  0.9477  0.4910
Fe  0.1136  0.4515  0.4994
Fe  0.1211  0.4649  0.1739
Fe  0.2184  0.9793  0.2051
Fe  0.5317  0.3360  0.9852
Fe  0.5581  0.6962  0.9680
Fe  0.5879  0.1960  0.6801
Fe  0.5912  0.7215  0.6491
Fe  0.6223  0.7353  0.3336
Fe  0.6454  0.2279  0.3186
O  0.0393  0.2945  0.9184
O  0.0602  0.8067  0.9252
O  0.0834  0.0963  0.7289
O  0.0983  0.8028  0.5898
O  0.1281  0.7992  0.2668
O  0.1461  0.3352  0.2745
O  0.5498  0.5266  0.9007
O  0.5682  0.3599  0.7539
O  0.5747  0.8353  0.7558
O  0.6185  0.8736  0.4287
O  0.6280  0.4033  0.1031
O  0.7103  0.0920  0.2305
F  0.0775  0.6049  0.7200
F  0.0825  0.6308  0.0589
F  0.0971  0.2873  0.6000
F  0.1193  0.6159  0.3991
F  0.1374  0.1247  0.3993
F  0.4475  0.1370  0.0398
F  0.5202  0.8897  0.0704
F  0.5914  0.0215  0.8904
F  0.6050  0.0549  0.5594
F  0.6068  0.5522  0.5670
F  0.6208  0.3534  0.4350
F  0.6237  0.5735  0.2336

Computed properties:
As for the space-group type: P1. The value obtained for the total magnetic moment is 58.0 Bohr magnetons per cell.

---

Arrangement ii

MgFe12O12F12 | GGA+U | optimized geometry

a = 3.1359 Å, b = 9.6389 Å, c = 14.5410 Å
α = 89.96°, β = 88.63°, γ = 88.91°
Positions (direct):
Mg  0.0000  0.0000  0.0000
Fe  0.1139  0.4857  0.1680
Fe  0.1190  0.9862  0.8033
Fe  0.1211  0.4798  0.8162
Fe  0.1449  0.9792  0.4912
Fe  0.1489  0.4971  0.5018
Fe  0.2473  0.9939  0.1887
Fe  0.5662  0.7192  0.0131
Fe  0.6086  0.3140  0.9914
Fe  0.6378  0.7443  0.6376
Fe  0.6415  0.2767  0.6503
Fe  0.6623  0.2523  0.3161
Fe  0.6711  0.7632  0.3306
O  0.0706  0.6491  0.0689
O  0.1129  0.3548  0.9133
O  0.1382  0.8450  0.5928
O  0.1450  0.3374  0.5844
O  0.1583  0.3455  0.2712
O  0.1763  0.8343  0.2652
O  0.5079  0.9156  0.0705
O  0.6233  0.4129  0.1112
O  0.6311  0.4092  0.7491
O  0.6402  0.5885  0.5539
O  0.6549  0.9010  0.4293
O  0.7252  0.0894  0.2309
F  0.0809  0.8356  0.9203
F  0.1283  0.6531  0.7198
F  0.1291  0.1706  0.0565
F  0.1361  0.1525  0.7196
F  0.1556  0.6471  0.3958
F  0.1619  0.1506  0.3976
F  0.5955  0.6061  0.8895
F  0.6056  0.0602  0.8958
F  0.6279  0.8794  0.7504
F  0.6450  0.0921  0.5597
F  0.6507  0.5967  0.2439
F  0.6529  0.3996  0.4271

Computed properties:
As for the space-group type: P1. The value obtained for the total magnetic moment is 58.0 Bohr magnetons per cell.

---

Arrangement iii

MgFe12O12F12 | GGA+U | optimized geometry

a = 3.0756 Å, b = 9.6366 Å, c = 14.6440 Å
α = 91.45°, β = 90.07°, γ = 90.40°
Positions (direct):
Mg  0.0000  0.0000  0.0000
Fe  0.0142  0.2615  0.3578
Fe  0.0136  0.2763  0.0032
Fe  0.0157  0.7625  0.6738
Fe  0.0174  0.2543  0.6649
Fe  0.0184  0.7383  0.3456
Fe  0.0467  0.7134  0.0195
Fe  0.5032  0.0095  0.1717
Fe  0.5091  0.0505  0.8247
Fe  0.5134  0.0337  0.5033
Fe  0.5171  0.5164  0.4950
Fe  0.5214  0.5199  0.1839
Fe  0.5308  0.5043  0.8530
O  0.0049  0.1019  0.1198
O  0.0112  0.1338  0.7698
O  0.0142  0.1038  0.4380
O  0.0186  0.6156  0.4498
O  0.0232  0.6010  0.1243
O  0.0288  0.4062  0.8977
O  0.4965  0.8718  0.0585
O  0.5076  0.1255  0.9499
O  0.5151  0.1708  0.6036
O  0.5165  0.3587  0.4085
O  0.5172  0.6576  0.2848
O  0.5428  0.6510  0.9491
F  0.0101  0.9076  0.2442
F  0.0098  0.9141  0.8776
F  0.0125  0.9165  0.5646
F  0.0176  0.4037  0.2468
F  0.0178  0.4196  0.5713
F  0.0276  0.6105  0.7796
F  0.5115  0.8800  0.7303
F  0.5119  0.1606  0.2801
F  0.5164  0.3632  0.0876
F  0.5163  0.8593  0.4065
F  0.5196  0.6522  0.6107
F  0.5215  0.3750  0.7268

Computed properties:
As for the space-group type: P1. The value obtained for the total magnetic moment is 58.0 Bohr magnetons per cell.

---

Arrangement iv

MgFe12O12F12 | GGA+U | optimized geometry

a = 9.7171 Å, b = 3.1096 Å, c = 14.5279 Å
α = 90.00°, β = 93.27°, γ = 90.00°
Positions (direct):
Mg  0.0000  0.0000  0.0000
Fe  0.0183  0.0000  0.1786
Fe  0.0325  0.0000  0.5439
Fe  0.0888  0.0000  0.8165
Fe  0.2677  0.5000  0.3628
Fe  0.2766  0.5000  0.0081
Fe  0.3040  0.5000  0.6754
Fe  0.5328  0.0000  0.1984
Fe  0.5577  0.0000  0.8242
Fe  0.5626  0.0000  0.5156
Fe  0.7314  0.5000  0.0448
Fe  0.7624  0.5000  0.3566
Fe  0.7815  0.5000  0.6777
O  0.0979  0.5000  0.0980
O  0.1555  0.5000  0.7687
O  0.1811  0.0000  0.9433
O  0.2074  0.0000  0.6107
O  0.4001  0.0000  0.7425
O  0.5800  0.5000  0.1307
O  0.6337  0.5000  0.4529
O  0.6580  0.5000  0.7875
O  0.6880  0.0000  0.2899
O  0.6912  0.0000  0.6223
O  0.8600  0.0000  0.0912
O  0.9393  0.5000  0.5939
F  0.1103  0.5000  0.4554
F  0.1702  0.0000  0.2816
F  0.3483  0.0000  0.0881
F  0.3778  0.0000  0.4272
F  0.4185  0.5000  0.2622
F  0.4270  0.5000  0.9255
F  0.4522  0.5000  0.5753
F  0.6583  0.0000  0.9534
F  0.8814  0.0000  0.4180
F  0.8998  0.0000  0.7571
F  0.9427  0.5000  0.2544
F  0.9510  0.5000  0.9177

Computed properties:
As for the space-group type: Pm. The value obtained for the total magnetic moment is 58.0 Bohr magnetons per cell.

---

Least stable of them? arrangement iv.

---

Arrangement i

Na2MnFeF7 | GGA+U | optimized geometry

a = 7.5863 Å, b = 7.5863 Å, c = 18.5239 Å
α = 90.00°, β = 90.00°, γ = 120.00°
Positions (direct):
Na  0.0375  0.8308  0.0000
Na  0.1659  0.7064  0.3314
Na  0.1692  0.2068  0.3333
Na  0.2936  0.4595  0.6647
Na  0.5245  0.3353  0.9997
Na  0.5313  0.3756  0.5013
Na  0.5405  0.8341  0.9980
Na  0.6244  0.1557  0.8347
Na  0.6647  0.1891  0.3330
Na  0.7932  0.9625  0.6667
Na  0.8109  0.4755  0.6663
Na  0.8443  0.4687  0.1680
Mn  0.0099  0.8394  0.5016
Mn  0.1606  0.1705  0.8349
Mn  0.1674  0.6713  0.8281
Mn  0.3287  0.4961  0.1614
Mn  0.5039  0.8326  0.4948
Mn  0.8295  0.9901  0.1683
Fe  0.0031  0.3340  0.4982
Fe  0.3309  0.9969  0.1648
Fe  0.3503  0.0172  0.6645
Fe  0.6660  0.6691  0.8315
Fe  0.6669  0.6497  0.3312
Fe  0.9828  0.3331  0.9978
F  0.0369  0.4005  0.3940
F  0.0418  0.2856  0.2057
F  0.0464  0.9023  0.1405
F  0.0875  0.8915  0.6129
F  0.0977  0.1441  0.4738
F  0.1003  0.3861  0.7885
F  0.1018  0.5735  0.9368
F  0.1085  0.1960  0.9462
F  0.2257  0.7559  0.7171
F  0.2331  0.1375  0.7268
F  0.2333  0.7106  0.1889
F  0.2441  0.4698  0.0505
F  0.2438  0.9582  0.8723
F  0.2858  0.8997  0.4551
F  0.2894  0.5227  0.5223
F  0.2967  0.0299  0.2691
F  0.3636  0.9631  0.0606
F  0.4257  0.2813  0.1395
F  0.4265  0.5283  0.2702
F  0.4692  0.2760  0.6128
F  0.4717  0.8982  0.6035
F  0.4771  0.3833  0.8569
F  0.4773  0.7667  0.8556
F  0.5273  0.3920  0.3840
F  0.5302  0.7743  0.3838
F  0.5995  0.6364  0.7273
F  0.6080  0.1353  0.7173
F  0.6139  0.7142  0.1218
F  0.6167  0.0938  0.1902
F  0.7144  0.7562  0.5390
F  0.7187  0.1445  0.4728
F  0.7240  0.1933  0.9462
F  0.7332  0.7033  0.9358
F  0.8040  0.9125  0.2796
F  0.8067  0.5308  0.2795
F  0.8555  0.5743  0.8061
F  0.8559  0.9536  0.8072
F  0.8625  0.0957  0.0601
F  0.8647  0.4727  0.0507
F  0.9043  0.7669  0.3935
F  0.9062  0.5229  0.5235
F  0.9701  0.2668  0.6024

Computed properties:
As for the space-group type: P3_1. The value obtained for the total magnetic moment is 60.0 Bohr magnetons per cell.

---

Arrangement ii

Na2MnFeF7 | GGA+U | optimized geometry

a = 7.6119 Å, b = 7.6119 Å, c = 7.6119 Å
α = 121.13°, β = 89.80°, γ = 119.12°
Positions (direct):
Na  0.0000  0.0000  0.0000
Na  0.5000  0.0000  0.0000
Na  0.5000  0.0000  0.5000
Na  0.5000  0.5000  0.5000
Mn  0.0000  0.0000  0.5000
Mn  0.0000  0.5000  0.0000
Fe  0.0000  0.5000  0.5000
Fe  0.5000  0.5000  0.0000
F  0.0507  0.2459  0.4197
F  0.0507  0.6310  0.8048
F  0.1206  0.8706  0.2500
F  0.3153  0.7283  0.5871
F  0.3262  0.2459  0.6952
F  0.3262  0.6310  0.0803
F  0.3588  0.2717  0.0871
F  0.6412  0.7283  0.9129
F  0.6738  0.3690  0.9197
F  0.6738  0.7541  0.3048
F  0.6847  0.2717  0.4129
F  0.8794  0.1294  0.7500
F  0.9493  0.3690  0.1952
F  0.9493  0.7541  0.5803

Computed properties:
As for the space-group type: Imma. The value obtained for the total magnetic moment is 20.0 Bohr magnetons per cell.

---

Least stable of them? arrangement ii.

---

Arrangement i

FeN2F5 | GGA+U | optimized geometry

a = 7.0822 Å, b = 15.6108 Å, c = 9.2204 Å
α = 90.00°, β = 90.00°, γ = 90.00°
Positions (direct):
Fe  0.1554  0.0941  0.0685
Fe  0.1554  0.9059  0.5685
Fe  0.3446  0.4059  0.5685
Fe  0.3446  0.5941  0.0685
Fe  0.6554  0.4059  0.9315
Fe  0.6554  0.5941  0.4315
Fe  0.8446  0.0941  0.4315
Fe  0.8446  0.9059  0.9315
N  0.0000  0.1291  0.7500
N  0.0000  0.3951  0.2500
N  0.0000  0.6049  0.7500
N  0.0000  0.8709  0.2500
N  0.1589  0.3437  0.9361
N  0.1589  0.6563  0.4361
N  0.3411  0.1563  0.4361
N  0.3411  0.8437  0.9361
N  0.5000  0.1049  0.7500
N  0.5000  0.3709  0.2500
N  0.5000  0.6291  0.7500
N  0.5000  0.8951  0.2500
N  0.6589  0.1563  0.0639
N  0.6589  0.8437  0.5639
N  0.8411  0.3437  0.5639
N  0.8411  0.6563  0.0639
F  0.0000  0.0000  0.0000
F  0.0000  0.0000  0.5000
F  0.0000  0.0884  0.2500
F  0.0000  0.9116  0.7500
F  0.0888  0.2068  0.0479
F  0.0888  0.7932  0.5479
F  0.1363  0.4464  0.6559
F  0.1363  0.5536  0.1559
F  0.1836  0.2988  0.8189
F  0.1836  0.7012  0.3189
F  0.1911  0.3991  0.3742
F  0.1911  0.6009  0.8742
F  0.3089  0.1009  0.8742
F  0.3089  0.8991  0.3742
F  0.3164  0.2012  0.3189
F  0.3164  0.7988  0.8189
F  0.3637  0.0536  0.1559
F  0.3637  0.9464  0.6559
F  0.4112  0.2932  0.5479
F  0.4112  0.7068  0.0479
F  0.5000  0.4116  0.7500
F  0.5000  0.5000  0.0000
F  0.5000  0.5000  0.5000
F  0.5000  0.5884  0.2500
F  0.5888  0.2932  0.9521
F  0.5888  0.7068  0.4521
F  0.6363  0.0536  0.3441
F  0.6363  0.9464  0.8441
F  0.6836  0.2012  0.1811
F  0.6836  0.7988  0.6811
F  0.6911  0.1009  0.6258
F  0.6911  0.8991  0.1258
F  0.8089  0.3991  0.1258
F  0.8089  0.6009  0.6258
F  0.8164  0.2988  0.6811
F  0.8164  0.7012  0.1811
F  0.8637  0.4464  0.8441
F  0.8637  0.5536  0.3441
F  0.9112  0.2068  0.4521
F  0.9112  0.7932  0.9521

Computed properties:
As for the space-group type: Pbcn. The value obtained for the total magnetic moment is 72.0 Bohr magnetons per cell.

---

Arrangement ii

FeN2F5 | GGA+U | optimized geometry

a = 5.9794 Å, b = 7.5683 Å, c = 10.4563 Å
α = 90.00°, β = 90.00°, γ = 90.00°
Positions (direct):
Fe  0.0000  0.0000  0.0000
Fe  0.0000  0.5000  0.0000
Fe  0.5000  0.0000  0.5000
Fe  0.5000  0.5000  0.5000
N  0.0098  0.2500  0.3564
N  0.0681  0.7500  0.3054
N  0.4319  0.2500  0.8054
N  0.4902  0.7500  0.8564
N  0.5098  0.2500  0.1436
N  0.5681  0.7500  0.1946
N  0.9319  0.2500  0.6946
N  0.9902  0.7500  0.6436
F  0.0928  0.2500  0.9923
F  0.1062  0.5291  0.8378
F  0.1062  0.9709  0.8378
F  0.2262  0.0529  0.5636
F  0.2262  0.4471  0.5636
F  0.2738  0.5529  0.0636
F  0.2738  0.9471  0.0636
F  0.3938  0.0291  0.3378
F  0.3938  0.4709  0.3378
F  0.4072  0.7500  0.4923
F  0.5928  0.2500  0.5077
F  0.6062  0.5291  0.6622
F  0.6062  0.9709  0.6622
F  0.7262  0.0529  0.9364
F  0.7262  0.4471  0.9364
F  0.7738  0.5529  0.4364
F  0.7738  0.9471  0.4364
F  0.8938  0.0291  0.1622
F  0.8938  0.4709  0.1622
F  0.9072  0.7500  0.0077

Computed properties:
As for the space-group type: Pnma. The value obtained for the total magnetic moment is 36.0 Bohr magnetons per cell.

---

Least stable of them? arrangement ii.